1 | Entry from the Materials Project: a geometry-optimized Co2P2O7 structure (meta-GGA r2SCAN).

Cell lengths 5.233, 5.311, 8.940 Å; angles 97.83, 98.24, 103.83 degrees
Element x y z (fractional)
Co 0.310 0.688 0.746
Co 0.690 0.312 0.254
Co 0.310 0.688 0.246
Co 0.690 0.312 0.754
P 0.780 0.785 0.047
P 0.780 0.785 0.547
P 0.220 0.215 0.453
P 0.220 0.215 0.953
O 0.000 0.000 0.000
O 0.000 0.000 0.500
O 0.074 0.374 0.359
O 0.074 0.374 0.859
O 0.926 0.626 0.141
O 0.926 0.626 0.641
O 0.616 0.926 0.139
O 0.616 0.926 0.639
O 0.384 0.075 0.361
O 0.384 0.074 0.861
O 0.380 0.376 0.106
O 0.380 0.375 0.606
O 0.619 0.624 0.394
O 0.620 0.624 0.894

***

2 | Entry from the Materials Project: a geometry-optimized Co2P2O7 structure (meta-GGA r2SCAN).

Cell lengths 8.315, 7.002, 8.976 Å; angles 66.70, 90.00, 90.00 degrees
Element x y z (fractional)
Co 0.936 0.303 0.317
Co 0.436 0.697 0.183
Co 0.064 0.697 0.683
Co 0.564 0.303 0.817
Co 0.427 0.767 0.608
Co 0.927 0.233 0.892
Co 0.573 0.233 0.392
Co 0.073 0.767 0.108
P 0.277 0.465 0.968
P 0.777 0.535 0.532
P 0.723 0.535 0.032
P 0.223 0.465 0.468
P 0.268 0.063 0.258
P 0.768 0.937 0.242
P 0.732 0.937 0.742
P 0.232 0.063 0.758
O 0.114 0.441 0.899
O 0.614 0.559 0.601
O 0.886 0.559 0.101
O 0.386 0.441 0.399
O 0.411 0.518 0.843
O 0.911 0.482 0.657
O 0.589 0.482 0.157
O 0.089 0.518 0.343
O 0.110 0.121 0.309
O 0.610 0.879 0.191
O 0.890 0.879 0.691
O 0.390 0.121 0.809
O 0.402 0.023 0.382
O 0.902 0.977 0.118
O 0.598 0.977 0.618
O 0.098 0.023 0.882
O 0.168 0.250 0.600
O 0.668 0.750 0.900
O 0.832 0.750 0.400
O 0.332 0.250 0.100
O 0.233 0.620 0.548
O 0.733 0.380 0.952
O 0.767 0.380 0.452
O 0.267 0.620 0.048
O 0.244 0.883 0.703
O 0.744 0.117 0.797
O 0.756 0.117 0.297
O 0.256 0.883 0.203

***

Tell me which of them is the least stable. Sure, it is 1.

***

1 | Entry from the Materials Project: a geometry-optimized Co5SbO8 structure (meta-GGA r2SCAN).

Cell lengths 5.850, 5.871, 10.500 Å; angles 73.11, 89.43, 60.04 degrees
Element x y z (fractional)
Co 0.250 0.500 0.750
Co 0.750 0.000 0.250
Co 0.250 0.000 0.750
Co 0.250 0.500 0.250
Co 0.750 0.500 0.750
Co 0.181 0.132 0.049
Co 0.683 0.139 0.544
Co 0.319 0.867 0.451
Co 0.817 0.861 0.956
Co 0.750 0.500 0.250
Sb 0.499 0.496 0.002
Sb 0.002 0.504 0.498
O 0.616 0.270 0.345
O 0.125 0.264 0.856
O 0.884 0.730 0.155
O 0.375 0.736 0.644
O 0.391 0.252 0.140
O 0.882 0.270 0.615
O 0.849 0.246 0.130
O 0.351 0.274 0.617
O 0.376 0.718 0.129
O 0.886 0.736 0.615
O 0.651 0.754 0.370
O 0.149 0.726 0.883
O 0.124 0.282 0.371
O 0.614 0.264 0.885
O 0.109 0.748 0.360
O 0.618 0.730 0.885

***

2 | Entry from the Materials Project: a geometry-optimized Co5SbO8 structure (meta-GGA r2SCAN).

Cell lengths 5.721, 10.442, 6.027 Å; angles 70.37, 61.66, 90.01 degrees
Element x y z (fractional)
Co 0.705 0.559 0.091
Co 0.796 0.941 0.909
Co 0.749 0.250 0.500
Co 0.000 0.500 0.500
Co 0.250 0.250 0.500
Co 0.204 0.059 0.091
Co 0.295 0.441 0.909
Co 0.251 0.750 0.500
Co 0.500 0.000 0.500
Co 0.750 0.750 0.500
Sb 0.750 0.250 0.000
Sb 0.250 0.750 0.000
O 0.403 0.125 0.693
O 0.904 0.625 0.693
O 0.096 0.375 0.307
O 0.597 0.875 0.307
O 0.394 0.120 0.250
O 0.894 0.620 0.250
O 0.855 0.120 0.250
O 0.356 0.620 0.250
O 0.625 0.354 0.249
O 0.126 0.854 0.249
O 0.644 0.380 0.750
O 0.145 0.880 0.750
O 0.874 0.146 0.751
O 0.375 0.646 0.751
O 0.105 0.380 0.750
O 0.606 0.880 0.750

***

3 | Entry from the Materials Project: a geometry-optimized Co5SbO8 structure (meta-GGA r2SCAN).

Cell lengths 6.062, 6.062, 6.062 Å; angles 58.00, 58.00, 58.00 degrees
Element x y z (fractional)
Co 0.637 0.637 0.637
Co 0.000 0.000 0.500
Co 0.000 0.500 0.000
Co 0.500 0.000 0.000
Co 0.363 0.363 0.363
Sb 0.000 0.000 0.000
O 0.764 0.764 0.231
O 0.231 0.764 0.764
O 0.764 0.231 0.764
O 0.763 0.763 0.763
O 0.237 0.237 0.237
O 0.769 0.236 0.236
O 0.236 0.769 0.236
O 0.236 0.236 0.769

***

Tell me which of them is the least stable. Sure, it is 2.

***

1 | Entry from the Materials Project: a geometry-optimized ZnCo2O4 structure (meta-GGA r2SCAN).

Cell lengths 4.795, 4.795, 9.420 Å; angles 90.00, 90.00, 146.04 degrees
Element x y z (fractional)
Zn 0.608 0.392 0.750
Zn 0.392 0.608 0.250
Co 0.135 0.865 0.069
Co 0.865 0.135 0.931
Co 0.135 0.865 0.431
Co 0.865 0.135 0.569
O 0.768 0.232 0.391
O 0.232 0.768 0.609
O 0.232 0.768 0.891
O 0.768 0.232 0.109
O 0.044 0.956 0.250
O 0.956 0.044 0.750
O 0.500 0.500 0.000
O 0.500 0.500 0.500

***

2 | Entry from the Materials Project: a geometry-optimized ZnCo2O4 structure (meta-GGA r2SCAN).

Cell lengths 5.706, 5.701, 5.701 Å; angles 90.00, 119.97, 119.97 degrees
Element x y z (fractional)
Zn 0.250 0.125 0.875
Zn 0.750 0.875 0.125
Co 0.500 0.000 0.500
Co 0.500 0.500 0.500
Co 0.000 0.500 0.000
Co 0.000 0.500 0.500
O 0.029 0.736 0.264
O 0.471 0.736 0.708
O 0.471 0.736 0.264
O 0.971 0.708 0.736
O 0.529 0.264 0.736
O 0.529 0.264 0.292
O 0.029 0.292 0.264
O 0.971 0.264 0.736

***

Tell me which of them is the least stable. Sure, it is 1.